Below is a relaxed structure of Er2CuPt, with properties calculated at the r²SCAN level.

a b c (Å): 4.8356 4.8356 4.8356
angles (deg): 60.00 60.00 60.00
Positions (direct):
Er  0.2500  0.2500  0.2500
Er  0.7500  0.7500  0.7500
Cu  0.0000  0.0000  0.0000
Pt  0.5000  0.5000  0.5000

Results
The formation energy is -860 meV per atom. The calculation puts the size of the total moment at 0.0 μB/f.u.